No. 1
Pm2Se3 after structural relaxation, computed with PBE.

abc: 4.1513 11.1813 11.4593
angles: 90.00 90.00 90.00
Element x y z (fractional)
Se1 0.2500 0.3019 0.7722
Se2 0.7500 0.4442 0.3799
Pm1 0.7500 0.0021 0.3063
Se3 0.2500 0.1981 0.2722
Se4 0.7500 0.3747 0.0448
Pm2 0.2500 0.3129 0.5117
Se5 0.2500 0.5558 0.6201
Pm3 0.2500 0.9979 0.6937
Se6 0.7500 0.8019 0.7278
Pm4 0.7500 0.6871 0.4883
Se7 0.2500 0.6253 0.9552
Pm5 0.2500 0.5021 0.1937
Se8 0.7500 0.0558 0.8799
Pm6 0.2500 0.1871 0.0117
Se9 0.7500 0.1253 0.5448
Se10 0.2500 0.8747 0.4552
Pm7 0.7500 0.4979 0.8063
Pm8 0.7500 0.8129 0.9883
Se11 0.7500 0.6981 0.2278
Se12 0.2500 0.9442 0.1201

## Properties
Energy: -0.217 hartree per atom

***

No. 2
Pm2Se3 after structural relaxation, computed with PBE.

abc: 14.7489 14.7489 14.7489
angles: 144.90 144.90 50.49
Element x y z (fractional)
Pm1 0.0477 0.4231 0.8913
Pm2 0.5318 0.1564 0.1087
Se1 0.8426 0.4363 0.2463
Se2 0.1899 0.5963 0.7537
Pm3 0.3750 0.7440 0.8690
Se3 0.4037 0.1574 0.5936
Se4 0.1735 0.7813 0.2469
Pm4 0.8750 0.5060 0.1310
Pm5 0.5769 0.4682 0.6246
Se5 0.0043 0.1089 0.2466
Se6 0.7457 0.4923 0.6046
Se7 0.8589 0.2543 0.7466
Se8 0.1863 0.0926 0.7463
Pm6 0.7023 0.0936 0.8754
Pm7 0.8331 0.8331 0.0000
Se9 0.2187 0.4656 0.3923
Pm8 0.9064 0.7818 0.6087
Se10 0.0733 0.8265 0.6077
Se11 0.2156 0.4687 0.8923
Se12 0.3463 0.4399 0.2537
Se13 0.5313 0.4235 0.7469
Pm9 0.2560 0.1250 0.6310
Se14 0.6767 0.7844 0.2531
Se15 0.8623 0.7577 0.7534
Se16 0.5344 0.9267 0.7531
Se17 0.5765 0.3233 0.1077
Se18 0.5601 0.8137 0.9064
Pm10 0.2182 0.8269 0.1246
Pm11 0.8436 0.9523 0.3754
Pm12 0.1669 0.1669 0.0000
Pm13 0.5831 0.0831 0.5000
Se19 0.8877 0.1411 0.3954
Se20 0.2423 0.9957 0.1046
Pm14 0.9169 0.4169 0.5000
Se21 0.9074 0.6537 0.0936
Pm15 0.1731 0.2977 0.3913
Se22 0.5637 0.8101 0.4064
Se23 0.8911 0.1377 0.8954
Se24 0.5077 0.1123 0.2534
Pm16 0.4940 0.6250 0.3690

## Properties
Energy: -0.216 hartree per atom

***

No. 3
Pm3Si after structural relaxation, computed with PBE.

abc: 4.7515 4.7515 4.7515
angles: 90.00 90.00 90.00
Element x y z (fractional)
Pm1 0.5000 0.0000 0.5000
Si1 0.0000 0.0000 0.0000
Pm2 0.0000 0.5000 0.5000
Pm3 0.5000 0.5000 0.0000

## Properties
Energy: -0.190 hartree per atom

***

No. 4
PmSi3 after structural relaxation, computed with PBE.

abc: 6.0911 6.0911 4.7653
angles: 90.00 90.00 120.00
Element x y z (fractional)
Si1 0.8644 0.1356 0.7500
Si2 0.8644 0.7287 0.7500
Pm1 0.6667 0.3333 0.2500
Si3 0.1356 0.2713 0.2500
Pm2 0.3333 0.6667 0.7500
Si4 0.1356 0.8644 0.2500
Si5 0.7287 0.8644 0.2500
Si6 0.2713 0.1356 0.7500

## Properties
Energy: -0.204 hartree per atom

***

No. 5
Pm2ZnSi after structural relaxation, computed with PBE.

abc: 5.1176 5.1176 5.1176
angles: 60.00 60.00 60.00
Element x y z (fractional)
Si1 0.5000 0.5000 0.5000
Zn1 0.0000 0.0000 0.0000
Pm1 0.2500 0.2500 0.2500
Pm2 0.7500 0.7500 0.7500

## Properties
Energy: -0.165 hartree per atom

***

No. 6
Pm3Sm after structural relaxation, computed with PBE.

abc: 6.3349 6.3349 6.3349
angles: 131.97 131.97 70.28
Element x y z (fractional)
Pm1 0.2500 0.7500 0.5000
Sm1 0.0000 0.0000 0.0000
Pm2 0.7500 0.2500 0.5000
Pm3 0.5000 0.5000 0.0000

## Properties
Energy above the lowest structure with this stoichiometry: 0.07 kcal/mol of atoms
Energy: -0.174 hartree per atom

***

No. 7
Pm3Sm after structural relaxation, computed with PBE.

abc: 5.1683 5.1683 5.1683
angles: 90.00 90.00 90.00
Element x y z (fractional)
Pm1 0.5000 0.5000 0.0000
Pm2 0.5000 0.0000 0.5000
Pm3 0.0000 0.5000 0.5000
Sm1 0.0000 0.0000 0.0000

## Properties
Energy above the lowest structure with this stoichiometry: 0.00 kcal/mol of atoms
Energy: -0.174 hartree per atom

***

No. 8
Pm3Sm after structural relaxation, computed with PBE.

abc: 7.3207 7.3207 5.9762
angles: 90.00 90.00 120.00
Element x y z (fractional)
Pm1 0.3334 0.1667 0.7500
Sm1 0.6667 0.3333 0.2500
Pm2 0.1667 0.8333 0.2500
Pm3 0.6666 0.8333 0.2500
Pm4 0.8333 0.1667 0.7500
Pm5 0.1667 0.3334 0.2500
Pm6 0.8333 0.6666 0.7500
Sm2 0.3333 0.6667 0.7500

## Properties
Energy above the lowest structure with this stoichiometry: 0.43 kcal/mol of atoms
Energy: -0.173 hartree per atom

***

No. 9
PmSm after structural relaxation, computed with PBE.

abc: 3.6549 3.6549 5.9814
angles: 90.00 90.00 120.00
Element x y z (fractional)
Sm1 0.3333 0.6667 0.0000
Pm1 0.6667 0.3333 0.5000

## Properties
Energy: -0.173 hartree per atom

***

No. 10
PmSmZn2 after structural relaxation, computed with PBE.

abc: 5.1583 5.1583 5.1583
angles: 60.00 60.00 60.00
Element x y z (fractional)
Zn1 0.7500 0.7500 0.7500
Sm1 0.0000 0.0000 0.0000
Pm1 0.5000 0.5000 0.5000
Zn2 0.2500 0.2500 0.2500

## Properties
Energy: -0.122 hartree per atom

***

No. 11
Pm3Sn after structural relaxation, computed with PBE.

abc: 4.9334 4.9334 4.9334
angles: 90.00 90.00 90.00
Element x y z (fractional)
Pm1 0.5000 0.0000 0.0000
Pm2 0.0000 0.0000 0.5000
Pm3 0.0000 0.5000 0.0000
Sn1 0.5000 0.5000 0.5000

## Properties
Energy: -0.184 hartree per atom

***

No. 12
PmSn3 after structural relaxation, computed with PBE.

abc: 4.7672 4.7672 4.7672
angles: 90.00 90.00 90.00
Element x y z (fractional)
Pm1 0.0000 0.0000 0.0000
Sn1 0.5000 0.5000 0.0000
Sn2 0.5000 0.0000 0.5000
Sn3 0.0000 0.5000 0.5000

## Properties
Energy: -0.172 hartree per atom

***

No. 13
Pm2TlSn after structural relaxation, computed with PBE.

abc: 5.4805 5.4805 5.4805
angles: 60.00 60.00 60.00
Element x y z (fractional)
Pm1 0.7500 0.7500 0.7500
Tl1 0.0000 0.0000 0.0000
Sn1 0.5000 0.5000 0.5000
Pm2 0.2500 0.2500 0.2500

## Properties
Energy: -0.165 hartree per atom

***

No. 14
Pm2ZnSn after structural relaxation, computed with PBE.

abc: 5.3218 5.3218 5.3218
angles: 60.00 60.00 60.00
Element x y z (fractional)
Sn1 0.5000 0.5000 0.5000
Zn1 0.0000 0.0000 0.0000
Pm1 0.7500 0.7500 0.7500
Pm2 0.2500 0.2500 0.2500

## Properties
Energy: -0.155 hartree per atom

***

No. 15
Sr3Pm after structural relaxation, computed with PBE.

abc: 8.1796 8.1796 6.5640
angles: 90.00 90.00 120.00
Element x y z (fractional)
Sr1 0.1716 0.3432 0.2500
Sr2 0.8284 0.6568 0.7500
Sr3 0.8284 0.1716 0.7500
Pm1 0.3333 0.6667 0.7500
Pm2 0.6667 0.3333 0.2500
Sr4 0.1716 0.8284 0.2500
Sr5 0.3432 0.1716 0.7500
Sr6 0.6568 0.8284 0.2500

## Properties
Energy: -0.084 hartree per atom

***

No. 16
TbPm3 after structural relaxation, computed with PBE.

abc: 7.3024 7.3024 5.9330
angles: 90.00 90.00 120.00
Element x y z (fractional)
Pm1 0.6658 0.8329 0.2500
Tb1 0.3333 0.6667 0.7500
Pm2 0.8329 0.6658 0.7500
Tb2 0.6667 0.3333 0.2500
Pm3 0.8329 0.1671 0.7500
Pm4 0.3342 0.1671 0.7500
Pm5 0.1671 0.3342 0.2500
Pm6 0.1671 0.8329 0.2500

## Properties
Energy: -0.173 hartree per atom

***

No. 17
Pm3Th after structural relaxation, computed with PBE.

abc: 6.2719 6.2719 6.2719
angles: 131.42 131.42 71.15
Element x y z (fractional)
Th1 0.0000 0.0000 0.0000
Pm1 0.2500 0.7500 0.5000
Pm2 0.5000 0.5000 0.0000
Pm3 0.7500 0.2500 0.5000

## Properties
Energy: -0.196 hartree per atom

***

No. 18
PmTmTl2 after structural relaxation, computed with PBE.

abc: 5.4053 5.4053 5.4053
angles: 60.00 60.00 60.00
Element x y z (fractional)
Tl1 0.2500 0.2500 0.2500
Tl2 0.7500 0.7500 0.7500
Pm1 0.5000 0.5000 0.5000
Tm1 0.0000 0.0000 0.0000

## Properties
Energy: -0.141 hartree per atom

***

No. 19
Pm3Tm after structural relaxation, computed with PBE.

abc: 6.2825 6.2825 6.2825
angles: 132.03 132.03 70.18
Element x y z (fractional)
Pm1 0.2500 0.7500 0.5000
Pm2 0.5000 0.5000 0.0000
Tm1 0.0000 0.0000 0.0000
Pm3 0.7500 0.2500 0.5000

## Properties
Energy above the lowest structure with this stoichiometry: 0.00 kcal/mol of atoms
Energy: -0.171 hartree per atom

***

No. 20
PmTm3 after structural relaxation, computed with PBE.

abc: 4.9834 4.9834 4.9834
angles: 90.00 90.00 90.00
Element x y z (fractional)
Tm1 0.0000 0.5000 0.5000
Tm2 0.5000 0.0000 0.5000
Tm3 0.5000 0.5000 0.0000
Pm1 0.0000 0.0000 0.0000

## Properties
Energy above the lowest structure with this stoichiometry: 0.39 kcal/mol of atoms
Energy: -0.166 hartree per atom

***

No. 21
PmTm3 after structural relaxation, computed with PBE.

abc: 6.1286 6.1286 6.1286
angles: 131.87 131.87 70.44
Element x y z (fractional)
Tm1 0.2500 0.7500 0.5000
Tm2 0.5000 0.5000 0.0000
Tm3 0.7500 0.2500 0.5000
Pm1 0.0000 0.0000 0.0000

## Properties
Energy above the lowest structure with this stoichiometry: 0.47 kcal/mol of atoms
Energy: -0.166 hartree per atom

***

No. 22
Pm3Tm after structural relaxation, computed with PBE.

abc: 7.2947 7.2947 5.8868
angles: 90.00 90.00 120.00
Element x y z (fractional)
Pm1 0.3357 0.1679 0.7500
Pm2 0.1679 0.8321 0.2500
Pm3 0.8321 0.1679 0.7500
Pm4 0.1679 0.3357 0.2500
Tm1 0.3333 0.6667 0.7500
Pm5 0.6643 0.8321 0.2500
Tm2 0.6667 0.3333 0.2500
Pm6 0.8321 0.6643 0.7500

## Properties
Energy above the lowest structure with this stoichiometry: 0.10 kcal/mol of atoms
Energy: -0.171 hartree per atom

***

No. 23
PmTm3 after structural relaxation, computed with PBE.

abc: 7.1880 7.1880 5.6574
angles: 90.00 90.00 120.00
Element x y z (fractional)
Tm1 0.6706 0.8353 0.2500
Pm1 0.3333 0.6667 0.7500
Tm2 0.1647 0.3294 0.2500
Tm3 0.3294 0.1647 0.7500
Pm2 0.6667 0.3333 0.2500
Tm4 0.8353 0.1647 0.7500
Tm5 0.1647 0.8353 0.2500
Tm6 0.8353 0.6706 0.7500

## Properties
Energy above the lowest structure with this stoichiometry: 0.00 kcal/mol of atoms
Energy: -0.167 hartree per atom

***

No. 24
PmTmZn2 after structural relaxation, computed with PBE.

abc: 5.0867 5.0867 5.0867
angles: 60.00 60.00 60.00
Element x y z (fractional)
Pm1 0.5000 0.5000 0.5000
Zn1 0.7500 0.7500 0.7500
Zn2 0.2500 0.2500 0.2500
Tm1 0.0000 0.0000 0.0000

## Properties
Energy: -0.120 hartree per atom

***

No. 25
PmYZn2 after structural relaxation, computed with PBE.

abc: 5.1297 5.1297 5.1297
angles: 60.00 60.00 60.00
Element x y z (fractional)
Pm1 0.5000 0.5000 0.5000
Zn1 0.7500 0.7500 0.7500
Zn2 0.2500 0.2500 0.2500
Y1 0.0000 0.0000 0.0000

## Properties
Energy: -0.139 hartree per atom

***

No. 26
PmZn3 after structural relaxation, computed with PBE.

abc: 6.4376 6.4376 4.4519
angles: 90.00 90.00 120.00
Element x y z (fractional)
Pm1 0.6667 0.3333 0.2500
Zn1 0.8537 0.1463 0.7500
Zn2 0.1463 0.2925 0.2500
Zn3 0.7075 0.8537 0.2500
Zn4 0.1463 0.8537 0.2500
Pm2 0.3333 0.6667 0.7500
Zn5 0.8537 0.7075 0.7500
Zn6 0.2925 0.1463 0.7500

## Properties
Energy: -0.090 hartree per atom

***

Listing ΔE_f for the structures above in their given order: -2.179 -2.163 -0.237 -0.230 -0.428 0.013 0.010 0.029 0.026 -0.326 -0.436 -0.493 -0.508 -0.524 0.177 0.027 0.073 -0.337 0.018 0.029 0.032 0.023 0.012 -0.332 -0.342 -0.321 eV/atom.